First-principles (GGA-PBE) data for a geometry-optimized Nd2In3Ni structure, as listed in the Materials Project.

SG   Pmm2 (25)
Uncorrected energy   -4.34 eV per atom
Formation energy from the elements   -2.45 eV per formula unit

Cell: 3.8290 4.7691 8.2805 Å, 89.99 90.00 90.00°
Closest atoms and distances in Å follow each position.
Positions (direct):
In1 0.5000 0.0000 0.6442  1 Ni 2.64, 2 In 2.87
Nd1 0.0000 0.0000 0.0283  2 Ni 3.11, 8 In 3.31-3.45
Nd2 0.0000 0.5001 0.4849  8 In 3.16-3.48, 4 Ni 3.33
In2 0.5000 0.5000 0.8362  3 In 2.86-2.87
In3 0.5000 0.4999 0.1815  2 Ni 2.66, 1 In 2.86
Ni1 0.5000 0.9999 0.3249  3 In 2.64-2.66

***

First-principles (GGA-PBE) data for a geometry-optimized YIr structure, as listed in the Materials Project.

SG   Pm-3m (221)
Uncorrected energy   -8.47 eV per atom
Formation energy from the elements   -1.64 eV per formula unit

Cell: 3.4382 3.4382 3.4382 Å, 90.00 90.00 90.00°
Closest atoms and distances in Å follow each position.
Positions (direct):
Y1 0.5000 0.5000 0.5000  8 Ir 2.98
Ir1 0.0000 0.0000 0.0000  8 Y 2.98

***

First-principles (GGA-PBE) data for a geometry-optimized CeRh2O5 structure, as listed in the Materials Project.

SG   Pnma (62)
Uncorrected energy   -7.39 eV per atom
Formation energy from the elements   -17.16 eV per formula unit

Cell: 5.2173 7.2859 9.9156 Å, 90.00 90.00 90.00°
Closest atoms and distances in Å follow each position.
Positions (direct):
Rh1 0.2500 0.4164 0.9408  6 O 2.03-2.11
O1 0.5943 0.5164 0.6224  2 Rh 2.03-2.04
O2 0.5653 0.8344 0.0569  3 Rh 2.06-2.10
Rh2 0.7500 0.5836 0.4408  6 O 2.03-2.11
Rh3 0.7500 0.0836 0.0592  6 O 2.03-2.11
O3 0.0943 0.9836 0.3776  2 Rh 2.03-2.04
O4 0.9196 0.6222 0.2500  2 Rh 2.11, 1 Ce 2.22
O5 0.5653 0.8344 0.4431  3 Rh 2.06-2.10
O6 0.4347 0.1656 0.5569  3 Rh 2.06-2.10
O7 0.0653 0.6656 0.5569  3 Rh 2.06-2.10
Rh4 0.2500 0.4164 0.5592  6 O 2.03-2.11
Ce1 0.2955 0.7635 0.2500  7 O 2.22-2.47
O8 0.0804 0.3778 0.7500  2 Rh 2.11, 1 Ce 2.22
O9 0.9347 0.3344 0.0569  3 Rh 2.06-2.10
O10 0.0653 0.6656 0.9431  3 Rh 2.06-2.10
O11 0.0943 0.9836 0.1224  2 Rh 2.03-2.04
O12 0.5804 0.1222 0.2500  2 Rh 2.11, 1 Ce 2.22
Rh5 0.2500 0.9164 0.9408  6 O 2.03-2.11
O13 0.4196 0.8778 0.7500  2 Rh 2.11, 1 Ce 2.22
Rh6 0.7500 0.0836 0.4408  6 O 2.03-2.11
Ce2 0.2045 0.2635 0.2500  7 O 2.22-2.47
Rh7 0.2500 0.9164 0.5592  6 O 2.03-2.11
O14 0.4057 0.4836 0.1224  2 Rh 2.03-2.04
Ce3 0.7955 0.7365 0.7500  7 O 2.22-2.47
Ce4 0.7045 0.2365 0.7500  7 O 2.22-2.47
O15 0.9057 0.0164 0.8776  2 Rh 2.03-2.04
O16 0.9057 0.0164 0.6224  2 Rh 2.03-2.04
Rh8 0.7500 0.5836 0.0592  6 O 2.03-2.11
O17 0.4057 0.4836 0.3776  2 Rh 2.03-2.04
O18 0.4347 0.1656 0.9431  3 Rh 2.06-2.10
O19 0.9347 0.3344 0.4431  3 Rh 2.06-2.10
O20 0.5943 0.5164 0.8776  2 Rh 2.03-2.04

***

First-principles (GGA-PBE) data for a geometry-optimized Ca5Co2N6 structure, as listed in the Materials Project.

SG   C2/c (15)
Uncorrected energy   -6.26 eV per atom
Formation energy from the elements   -9.28 eV per formula unit

Cell: 5.8147 6.2156 12.5115 Å, 90.00 100.34 122.31°
Closest atoms and distances in Å follow each position.
Positions (direct):
N1 0.7105 0.3233 0.3548  1 Co 1.82
Co1 0.5434 0.8852 0.5658  3 N 1.75-1.82
N2 0.5656 0.3365 0.0733  1 Co 1.75
N3 0.4344 0.7709 0.4267  1 Co 1.75
Co2 0.4566 0.3418 0.9342  3 N 1.75-1.82
N4 0.2895 0.6128 0.1452  1 Co 1.82
Co3 0.5434 0.6582 0.0658  3 N 1.75-1.82
N5 0.8927 0.9081 0.1288  1 Co 1.79
Ca1 0.1314 0.3255 0.4997  4 N 2.44-2.64
N6 0.2895 0.6767 0.6452  1 Co 1.82
Ca2 0.3177 0.0523 0.7227  5 N 2.35-2.48
Ca3 0.3177 0.2654 0.2227  5 N 2.35-2.48
Co4 0.4566 0.1148 0.4342  3 N 1.75-1.82
Ca4 0.8686 0.1941 0.0003  4 N 2.44-2.64
Ca5 0.0000 0.3689 0.7500  4 N 2.36-2.54
N7 0.5656 0.2291 0.5733  1 Co 1.75
Ca6 0.0000 0.6311 0.2500  4 N 2.36-2.54
Ca7 0.8686 0.6745 0.5003  4 N 2.44-2.64
N8 0.4344 0.6635 0.9267  1 Co 1.75
N9 0.7105 0.3872 0.8548  1 Co 1.82
N10 0.1073 0.0919 0.8712  1 Co 1.79
Ca8 0.6823 0.9477 0.2773  5 N 2.35-2.48
N11 0.1073 0.0154 0.3712  1 Co 1.79
Ca9 0.1314 0.8059 0.9997  4 N 2.44-2.64
Ca10 0.6823 0.7346 0.7773  5 N 2.35-2.48
N12 0.8927 0.9846 0.6288  1 Co 1.79

***

First-principles (GGA-PBE) data for a geometry-optimized CoNi2S4 structure, as listed in the Materials Project.

SG   Fdd2 (43)
Uncorrected energy   -5.34 eV per atom
Formation energy from the elements   -4.21 eV per formula unit

Cell: 7.6705 6.7880 6.0619 Å, 73.05 57.84 49.11°
Closest atoms and distances in Å follow each position.
Positions (direct):
S1 0.5227 0.7850 0.2014  2 Co 2.26-2.43, 2 Ni 2.33-2.35
Co1 0.7735 0.7265 0.7265  6 S 2.20-2.43
S2 0.9121 0.7466 0.3014  1 Co 2.20, 3 Ni 2.24-2.30
S3 0.0486 0.7592 0.7273  2 Co 2.26-2.43, 2 Ni 2.33-2.35
Ni1 0.4661 0.0367 0.4590  5 S 2.24-2.35
S4 0.0400 0.3014 0.7466  1 Co 2.20, 3 Ni 2.24-2.30
Ni2 0.7910 0.2119 0.7839  5 S 2.24-2.35
Ni3 0.0381 0.4590 0.0367  5 S 2.24-2.35
Ni4 0.2133 0.7839 0.2119  5 S 2.24-2.35
Co2 0.5235 0.4765 0.4765  6 S 2.20-2.43
S5 0.5034 0.3379 0.2100  1 Co 2.20, 3 Ni 2.24-2.30
S6 0.4650 0.7273 0.7592  2 Co 2.26-2.43, 2 Ni 2.33-2.35
S7 0.9486 0.2100 0.3379  1 Co 2.20, 3 Ni 2.24-2.30
S8 0.4908 0.2014 0.7850  2 Co 2.26-2.43, 2 Ni 2.33-2.35

***

First-principles (GGA-PBE) data for a geometry-optimized SiSbOs2 structure, as listed in the Materials Project.

SG   F-43m (216)
Uncorrected energy   -7.15 eV per atom
Formation energy from the elements   3.39 eV per formula unit

Cell: 4.5259 4.5259 4.5259 Å, 60.00 60.00 60.00°
Closest atoms and distances in Å follow each position.
Positions (direct):
Os1 0.2500 0.2500 0.2500  4 Sb 2.77, 4 Os 2.77
Si1 0.7500 0.7500 0.7500  4 Os 2.77, 4 Sb 2.77
Os2 0.0000 0.0000 0.0000  4 Si 2.77, 4 Os 2.77
Sb1 0.5000 0.5000 0.5000  4 Si 2.77, 4 Os 2.77

***

First-principles (GGA-PBE) data for a geometry-optimized Si3Sb2O9 structure, as listed in the Materials Project.

SG   P6_3/m (176)
Uncorrected energy   -7.21 eV per atom
Formation energy from the elements   -38.03 eV per formula unit

Cell: 6.9805 6.9805 9.5000 Å, 90.00 90.00 120.00°
Closest atoms and distances in Å follow each position.
Positions (direct):
Si1 0.2052 0.9274 0.2500  4 O 1.63-1.65
O1 0.7547 0.8184 0.7500  2 Si 1.65
Si2 0.0726 0.2778 0.2500  4 O 1.63-1.65
O2 0.2453 0.1816 0.2500  2 Si 1.65
Si3 0.9274 0.7222 0.7500  4 O 1.63-1.65
Sb1 0.3333 0.6667 0.5088  3 O 2.02
Si4 0.7948 0.0726 0.7500  4 O 1.63-1.65
Sb2 0.6667 0.3333 0.0088  3 O 2.02
O3 0.0966 0.4191 0.3923  1 Si 1.63
O4 0.0637 0.2453 0.7500  2 Si 1.65
O5 0.4191 0.3225 0.6077  1 Si 1.63
Si5 0.2778 0.2052 0.7500  4 O 1.63-1.65
O6 0.9363 0.7547 0.2500  2 Si 1.65
O7 0.9034 0.5809 0.6077  1 Si 1.63
Sb3 0.6667 0.3333 0.4912  3 O 2.02
O8 0.6775 0.0966 0.6077  1 Si 1.63
O9 0.3225 0.9034 0.1077  1 Si 1.63
O10 0.4191 0.3225 0.8923  1 Si 1.63
O11 0.8184 0.0637 0.2500  2 Si 1.65
O12 0.1816 0.9363 0.7500  2 Si 1.65
O13 0.5809 0.6775 0.1077  1 Si 1.63
O14 0.9034 0.5809 0.8923  1 Si 1.63
O15 0.5809 0.6775 0.3923  1 Si 1.63
Sb4 0.3333 0.6667 0.9912  3 O 2.02
O16 0.0966 0.4191 0.1077  1 Si 1.63
Si6 0.7222 0.7948 0.2500  4 O 1.63-1.65
O17 0.3225 0.9034 0.3923  1 Si 1.63
O18 0.6775 0.0966 0.8923  1 Si 1.63

***

First-principles (GGA-PBE) data for a geometry-optimized KPrP4O12 structure, as listed in the Materials Project.

SG   C2/c (15)
Uncorrected energy   -7.28 eV per atom
Formation energy from the elements   -52.43 eV per formula unit

Cell: 7.5167 7.5167 10.7941 Å, 79.33 79.33 115.41°
Closest atoms and distances in Å follow each position.
Positions (direct):
P1 0.2119 0.8734 0.4997  4 O 1.50-1.63
P2 0.8734 0.2119 0.9997  4 O 1.50-1.63
O1 0.7842 0.0327 0.9290  2 P 1.61-1.63
O2 0.0068 0.4069 0.8871  1 P 1.50
O3 0.2158 0.9673 0.0710  2 P 1.61-1.63
P3 0.8050 0.7596 0.4445  4 O 1.49-1.62
P4 0.1950 0.2404 0.5555  4 O 1.49-1.62
O4 0.6905 0.1948 0.0961  1 P 1.50
K1 0.3161 0.6839 0.2500  6 O 2.80-3.04
O5 0.2594 0.3125 0.6675  1 P 1.49
Pr1 0.6211 0.3789 0.2500  8 O 2.47-2.52
K2 0.6839 0.3161 0.7500  6 O 2.80-3.04
O6 0.3125 0.2594 0.1675  1 P 1.49
O7 0.1464 0.0016 0.5845  2 P 1.61-1.62
O8 0.7406 0.6875 0.3325  1 P 1.49
O9 0.6712 0.6414 0.5847  1 P 1.50
O10 0.0327 0.7842 0.4290  2 P 1.61-1.63
P5 0.7596 0.8050 0.9445  4 O 1.49-1.62
O11 0.3095 0.8052 0.9039  1 P 1.50
O12 0.8052 0.3095 0.4039  1 P 1.50
O13 0.0016 0.1464 0.0845  2 P 1.61-1.62
O14 0.3586 0.3288 0.9153  1 P 1.50
O15 0.5931 0.9932 0.6129  1 P 1.50
Pr2 0.3789 0.6211 0.7500  8 O 2.47-2.52
O16 0.1948 0.6905 0.5961  1 P 1.50
O17 0.6414 0.6712 0.0847  1 P 1.50
O18 0.3288 0.3586 0.4153  1 P 1.50
O19 0.9932 0.5931 0.1129  1 P 1.50
O20 0.6875 0.7406 0.8325  1 P 1.49
P6 0.1266 0.7881 0.0003  4 O 1.50-1.63
O21 0.9673 0.2158 0.5710  2 P 1.61-1.63
O22 0.4069 0.0068 0.3871  1 P 1.50
O23 0.9984 0.8536 0.9155  2 P 1.61-1.62
P7 0.7881 0.1266 0.5003  4 O 1.50-1.63
P8 0.2404 0.1950 0.0555  4 O 1.49-1.62
O24 0.8536 0.9984 0.4155  2 P 1.61-1.62